# 1
# PBE-GGA Pr3MnGaS7, relaxed
data_Pr3MnGaS7
_chemical_formula_sum 'Pr6 Mn2 Ga2 S14'
_cell_length_a 10.1590
_cell_length_b 10.1590
_cell_length_c 6.0697
_cell_angle_alpha 90.00
_cell_angle_beta 90.00
_cell_angle_gamma 120.00
_symmetry_space_group_name_H-M 'P 63'
_symmetry_Int_Tables_number 173
loop_
_symmetry_equiv_pos_as_xyz
'x,y,z'
'x-y,x,z+1/2'
'-y,x-y,z'
'-x,-y,z+1/2'
'-x+y,-x,z'
'y,-x+y,z+1/2'
loop_
_atom_site_label
_atom_site_fract_x
_atom_site_fract_y
_atom_site_fract_z
Pr1 0.1402 0.7656 0.0000
Mn1 0.0000 0.0000 0.2252
Ga1 0.3333 0.6667 0.5783
S1 0.0895 0.8526 0.4656
S2 0.0973 0.5168 0.7310
S3 0.3333 0.6667 0.2081
# Formation energy from the elements in meV per atom: -1829
# Calculated total energy in eV/atom: -6.16

---

# 2
# PBE-GGA LiGaO10, relaxed
data_LiGaO10
_chemical_formula_sum 'Li8 Ga8 O80'
_cell_length_a 9.844
_cell_length_b 5.965
_cell_length_c 23.618
_cell_angle_alpha 90.00
_cell_angle_beta 94.36
_cell_angle_gamma 90.00
_symmetry_space_group_name_H-M 'C 1 c 1'
_symmetry_Int_Tables_number 9
loop_
_symmetry_equiv_pos_as_xyz
'x,y,z'
'x,-y,z+1/2'
'x+1/2,y+1/2,z'
'x+1/2,-y+1/2,z+1/2'
loop_
_atom_site_label
_atom_site_fract_x
_atom_site_fract_y
_atom_site_fract_z
Li1 0.000 0.006 0.000
Li2 0.425 0.458 0.238
Ga1 0.069 0.490 0.916
Ga2 0.160 0.441 0.663
O1 0.016 0.352 0.764
O2 0.019 0.346 0.986
O3 0.025 0.317 0.167
O4 0.052 0.209 0.216
O5 0.064 0.160 0.641
O6 0.069 0.251 0.385
O7 0.069 0.497 0.033
O8 0.087 0.299 0.515
O9 0.133 0.431 0.781
O10 0.239 0.394 0.738
O11 0.257 0.036 0.286
O12 0.260 0.038 0.057
O13 0.263 0.364 0.923
O14 0.272 0.030 0.835
O15 0.296 0.049 0.603
O16 0.315 0.394 0.975
O17 0.333 0.400 0.158
O18 0.435 0.366 0.113
O19 0.436 0.405 0.345
O20 0.466 0.306 0.392
# Formation energy from the elements in meV per atom: -245
# Calculated total energy in eV/atom: -4.78

---

# 3
# PBE-GGA Tl3VSe2S2, relaxed
data_Tl3VSe2S2
_chemical_formula_sum 'Tl12 V4 Se8 S8'
_cell_length_a 10.993
_cell_length_b 11.077
_cell_length_c 7.808
_cell_angle_alpha 90.00
_cell_angle_beta 90.00
_cell_angle_gamma 90.00
_symmetry_space_group_name_H-M 'F m m 2'
_symmetry_Int_Tables_number 42
_symmetry_space_group_name_Hall 'F 2 -2'
loop_
_atom_site_label
_atom_site_fract_x
_atom_site_fract_y
_atom_site_fract_z
Tl1 0.000 0.000 0.000
Tl2 0.250 0.250 0.010
V1 0.000 0.000 0.511
Se1 0.000 0.170 0.336
S1 0.161 0.000 0.667
# Formation energy from the elements in meV per atom: -704
# Calculated total energy in eV/atom: -4.51

---

# 4
# PBE-GGA ZrMnN2, relaxed
data_ZrMnN2
_chemical_formula_sum 'Zr2 Mn2 N4'
_cell_length_a 5.442
_cell_length_b 3.217
_cell_length_c 4.975
_cell_angle_alpha 90.00
_cell_angle_beta 111.91
_cell_angle_gamma 90.00
_symmetry_space_group_name_H-M 'C 1 2/m 1'
_symmetry_Int_Tables_number 12
loop_
_symmetry_equiv_pos_as_xyz
'x,y,z'
'-x,-y,-z'
'-x,y,-z'
'x,-y,z'
'x+1/2,y+1/2,z'
'-x+1/2,-y+1/2,-z'
'-x+1/2,y+1/2,-z'
'x+1/2,-y+1/2,z'
loop_
_atom_site_label
_atom_site_fract_x
_atom_site_fract_y
_atom_site_fract_z
Zr1 0.000 0.000 0.000
Mn1 0.000 0.500 0.500
N1 0.240 0.000 0.722
# Formation energy from the elements in meV per atom: -1022
# Calculated total energy in eV/atom: -9.44

---

# 5
# PBE-GGA ThMn12, relaxed
data_ThMn12
_chemical_formula_sum 'Th2 Mn24'
_cell_length_a 8.387
_cell_length_b 8.387
_cell_length_c 4.716
_cell_angle_alpha 90.00
_cell_angle_beta 90.00
_cell_angle_gamma 90.00
_symmetry_space_group_name_H-M 'I 4/m m m'
_symmetry_Int_Tables_number 139
_symmetry_space_group_name_Hall '-I 4 2'
loop_
_atom_site_label
_atom_site_fract_x
_atom_site_fract_y
_atom_site_fract_z
Th1 0.000 0.000 0.000
Mn1 0.000 0.232 0.500
Mn2 0.000 0.368 0.000
Mn3 0.250 0.250 0.250
# Formation energy from the elements in meV per atom: 8
# Calculated total energy in eV/atom: -9.02

---

# 6
# PBE-GGA CaCuSi, relaxed
data_CaCuSi
_chemical_formula_sum 'Ca1 Cu1 Si1'
_cell_length_a 4.1218
_cell_length_b 4.1218
_cell_length_c 4.0810
_cell_angle_alpha 90.00
_cell_angle_beta 90.00
_cell_angle_gamma 120.00
_symmetry_space_group_name_H-M 'P -6 m 2'
_symmetry_Int_Tables_number 187
_symmetry_space_group_name_Hall 'P -6 2'
loop_
_atom_site_label
_atom_site_fract_x
_atom_site_fract_y
_atom_site_fract_z
Ca1 0.0000 0.0000 0.0000
Cu1 0.6667 0.3333 0.5000
Si1 0.3333 0.6667 0.5000
# Formation energy from the elements in meV per atom: -356
# Calculated total energy in eV/atom: -4.22